Density functional theory data (PBE) for crystalline YClO2 at its relaxed geometry.

CIF file:
```
data_YClO2
_cell_length_a 6.344
_cell_length_b 3.600
_cell_length_c 6.367
_cell_angle_alpha 90.00
_cell_angle_beta 109.95
_cell_angle_gamma 90.00
_space_group_name_H-M_alt 'P 1 21/m 1'
_space_group_IT_number 11
loop_
_space_group_symop_operation_xyz
'x,y,z'
'-x,-y,-z'
'-x,y+1/2,-z'
'x,-y+1/2,z'
loop_
_atom_site_label
_atom_site_type_symbol
_atom_site_fract_x
_atom_site_fract_y
_atom_site_fract_z
Y1 Y 0.193 0.250 0.342
Cl1 Cl 0.238 0.750 0.024
O1 O 0.049 0.250 0.626
O2 O 0.424 0.750 0.561
```

Properties
The calculation puts the formation energy at -2057.9 meV per atom. As for the energy above the most stable polymorph in this dataset: 0.0000 eV per atom. Its corrected total energy (MP2020 scheme) is -26.44 eV/f.u.

Density functional theory data (PBE) for crystalline LaMgAu2 at its relaxed geometry.

CIF file:
```
data_LaMgAu2
_cell_length_a 7.209
_cell_length_b 7.209
_cell_length_c 7.209
_cell_angle_alpha 90.00
_cell_angle_beta 90.00
_cell_angle_gamma 90.00
_space_group_name_H-M_alt 'F m -3 m'
_space_group_IT_number 225
_space_group_name_Hall '-F 4 2 3'
loop_
_atom_site_label
_atom_site_type_symbol
_atom_site_fract_x
_atom_site_fract_y
_atom_site_fract_z
La1 La 0.000 0.000 0.000
Mg1 Mg 0.000 0.000 0.500
Au1 Au 0.250 0.250 0.250
```

Properties
The calculation puts the formation energy at -737.3 meV per atom.

Density functional theory data (PBE) for crystalline HgO at its relaxed geometry.

CIF file:
```
data_HgO
_cell_length_a 3.7573
_cell_length_b 3.7573
_cell_length_c 8.9516
_cell_angle_alpha 90.00
_cell_angle_beta 90.00
_cell_angle_gamma 120.00
_space_group_name_H-M_alt 'P 31 2 1'
_space_group_IT_number 152
loop_
_space_group_symop_operation_xyz
'x,y,z'
'-y,x-y,z+1/3'
'-x+y,-x,z+2/3'
'y,x,-z'
'x-y,-y,-z+2/3'
'-x,-x+y,-z+1/3'
loop_
_atom_site_label
_atom_site_type_symbol
_atom_site_fract_x
_atom_site_fract_y
_atom_site_fract_z
Hg1 Hg 0.0000 0.7723 0.1667
O1 O 0.0000 0.4394 0.6667
```

Properties
For the maximum piezoelectric response, the calculation gives 0.21 C/m2. The calculation puts the formation energy at -636.8 meV per atom. Its corrected total energy (MP2020 scheme) is -6.53 eV/f.u.